Record 1
Below is a relaxed Fe2TeWC10SeO10 crystal, with properties calculated at the PBE with a Hubbard U level.

```
Fe2TeWC10SeO10
1.0
-4.522 2.897 -4.421
-2.187 -8.225 -4.375
-11.595 -2.969 6.938
Fe Te W C Se O
4 2 2 20 2 20
Direct
0.281 0.000 0.271
0.647 0.669 0.634
0.353 0.331 0.366
0.719 0.000 0.729
0.431 0.886 0.681
0.569 0.114 0.319
0.394 0.272 0.165
0.606 0.728 0.835
0.214 0.246 0.063
0.446 0.865 0.221
0.725 0.524 0.865
0.299 0.259 0.491
0.636 0.389 0.136
0.364 0.611 0.864
0.792 0.504 0.637
0.570 0.416 0.375
0.786 0.754 0.937
0.554 0.135 0.779
0.208 0.496 0.363
0.086 0.952 0.210
0.426 0.844 0.929
0.574 0.156 0.071
0.275 0.476 0.135
0.701 0.741 0.509
0.221 0.910 0.391
0.914 0.048 0.790
0.430 0.584 0.625
0.779 0.090 0.609
0.103 0.220 0.302
0.897 0.780 0.698
0.707 0.471 0.385
0.325 0.907 0.983
0.675 0.093 0.017
0.112 0.231 0.006
0.117 0.603 0.363
0.548 0.775 0.192
0.228 0.545 0.880
0.961 0.919 0.173
0.293 0.529 0.615
0.734 0.790 0.427
0.211 0.591 0.116
0.888 0.769 0.994
0.039 0.081 0.827
0.772 0.455 0.120
0.816 0.149 0.530
0.184 0.851 0.470
0.452 0.225 0.808
0.266 0.210 0.573
0.789 0.409 0.884
0.883 0.397 0.637
```

Record 2
Below is a relaxed Fe4SiC16O16 crystal, with properties calculated at the PBE with a Hubbard U level.

```
Fe4SiC16O16
1.0
-5.136 -10.833 0.246
8.061 -3.735 3.830
-4.720 2.698 20.203
Fe Si C O
16 4 64 64
Direct
0.768 0.266 0.504
0.643 0.189 0.318
0.123 0.778 0.691
0.143 0.811 0.182
0.857 0.189 0.818
0.623 0.222 0.809
0.732 0.266 0.004
0.268 0.734 0.996
0.377 0.778 0.191
0.877 0.222 0.309
0.739 0.521 0.422
0.239 0.479 0.078
0.761 0.521 0.922
0.357 0.811 0.682
0.261 0.479 0.578
0.232 0.734 0.496
0.757 0.297 0.389
0.257 0.703 0.111
0.243 0.703 0.611
0.743 0.297 0.889
0.516 0.744 0.168
0.219 0.350 0.146
0.984 0.744 0.668
0.627 0.363 0.276
0.615 0.536 0.905
0.139 0.899 0.252
0.639 0.399 0.770
0.113 0.943 0.639
0.499 0.805 0.658
0.343 0.963 0.621
0.139 0.601 0.730
0.385 0.464 0.095
0.762 0.338 0.578
0.106 0.846 0.766
0.706 0.086 0.030
0.127 0.637 0.224
0.736 0.617 0.490
0.387 0.943 0.139
0.281 0.350 0.646
0.880 0.230 0.001
0.262 0.662 0.922
0.719 0.650 0.354
0.584 0.288 0.991
0.001 0.805 0.158
0.620 0.230 0.501
0.639 0.101 0.248
0.091 0.510 0.080
0.781 0.650 0.854
0.501 0.195 0.342
0.861 0.101 0.748
0.361 0.601 0.230
0.361 0.899 0.752
0.591 0.490 0.420
0.394 0.846 0.266
0.409 0.510 0.580
0.873 0.363 0.776
0.264 0.383 0.510
0.764 0.617 0.990
0.373 0.637 0.724
0.657 0.037 0.379
0.894 0.154 0.234
0.206 0.914 0.470
0.738 0.338 0.078
0.613 0.057 0.861
0.887 0.057 0.361
0.909 0.490 0.920
0.794 0.086 0.530
0.294 0.914 0.970
0.885 0.536 0.405
0.999 0.195 0.842
0.843 0.037 0.879
0.484 0.256 0.832
0.120 0.770 0.999
0.016 0.256 0.332
0.606 0.154 0.734
0.861 0.399 0.270
0.416 0.712 0.009
0.084 0.712 0.509
0.236 0.383 0.010
0.916 0.288 0.491
0.380 0.770 0.499
0.157 0.963 0.121
0.238 0.662 0.422
0.115 0.464 0.595
0.240 0.619 0.373
0.026 0.800 0.997
0.597 0.952 0.894
0.495 0.481 0.415
0.393 0.273 0.848
0.865 0.049 0.701
0.157 0.060 0.082
0.343 0.060 0.582
0.107 0.273 0.348
0.110 0.525 0.250
0.512 0.708 0.014
0.097 0.048 0.606
0.267 0.321 0.467
0.526 0.200 0.503
0.859 0.513 0.243
0.390 0.525 0.750
0.090 0.886 0.815
0.359 0.487 0.257
0.488 0.292 0.986
0.795 0.738 0.811
0.260 0.619 0.873
0.740 0.381 0.127
0.012 0.292 0.486
0.760 0.381 0.627
0.812 0.970 0.549
0.295 0.262 0.689
0.522 0.556 0.890
0.188 0.030 0.451
0.022 0.444 0.610
0.233 0.321 0.967
0.995 0.519 0.085
0.908 0.803 0.144
0.135 0.951 0.299
0.005 0.481 0.915
0.092 0.197 0.856
0.843 0.940 0.918
0.890 0.475 0.750
0.478 0.444 0.110
0.408 0.197 0.356
0.590 0.114 0.685
0.635 0.049 0.201
0.903 0.952 0.394
0.733 0.679 0.533
0.910 0.114 0.185
0.988 0.708 0.514
0.893 0.727 0.652
0.141 0.487 0.757
0.607 0.727 0.152
0.657 0.940 0.418
0.767 0.679 0.033
0.312 0.030 0.951
0.974 0.200 0.003
0.641 0.513 0.743
0.610 0.475 0.250
0.688 0.970 0.049
0.365 0.951 0.799
0.978 0.556 0.390
0.410 0.886 0.315
0.592 0.803 0.644
0.403 0.048 0.106
0.705 0.738 0.311
0.505 0.519 0.585
0.474 0.800 0.497
0.205 0.262 0.189
```

Record 3
Below is a relaxed Fe4SnC16O16 crystal, with properties calculated at the PBE with a Hubbard U level.

```
Fe4SnC16O16
1.0
19.344 0.000 0.000
0.000 10.993 0.000
0.000 10.771 11.936
Fe Sn C O
16 4 64 64
Direct
0.847 0.911 0.638
0.603 0.233 0.233
0.347 0.089 0.862
0.153 0.089 0.362
0.022 0.055 0.770
0.978 0.945 0.230
0.163 0.305 0.117
0.837 0.695 0.883
0.897 0.233 0.733
0.397 0.767 0.767
0.337 0.305 0.617
0.522 0.945 0.730
0.653 0.911 0.138
0.478 0.055 0.270
0.103 0.767 0.267
0.663 0.695 0.383
0.101 0.021 0.249
0.899 0.979 0.751
0.399 0.021 0.749
0.601 0.979 0.251
0.033 0.163 0.624
0.937 0.862 0.640
0.235 0.191 0.128
0.940 0.375 0.736
0.765 0.809 0.872
0.310 0.708 0.800
0.141 0.373 0.984
0.419 0.189 0.265
0.084 0.392 0.117
0.125 0.913 0.120
0.498 0.930 0.417
0.429 0.890 0.305
0.352 0.915 0.007
0.998 0.070 0.083
0.375 0.913 0.620
0.190 0.708 0.300
0.563 0.862 0.140
0.732 0.999 0.138
0.585 0.354 0.085
0.467 0.163 0.124
0.071 0.890 0.805
0.809 0.753 0.646
0.648 0.085 0.993
0.081 0.189 0.765
0.691 0.753 0.146
0.690 0.292 0.200
0.533 0.837 0.876
0.625 0.087 0.380
0.283 0.459 0.594
0.919 0.811 0.235
0.002 0.930 0.917
0.768 0.999 0.638
0.309 0.247 0.854
0.916 0.608 0.883
0.085 0.646 0.415
0.232 0.001 0.362
0.437 0.138 0.860
0.148 0.915 0.507
0.783 0.541 0.906
0.191 0.247 0.354
0.967 0.837 0.376
0.440 0.625 0.764
0.060 0.625 0.264
0.502 0.070 0.583
0.359 0.373 0.484
0.560 0.375 0.236
0.415 0.646 0.915
0.265 0.191 0.628
0.217 0.459 0.094
0.875 0.087 0.880
0.416 0.392 0.617
0.859 0.627 0.016
0.063 0.138 0.360
0.584 0.608 0.383
0.915 0.354 0.585
0.268 0.001 0.862
0.810 0.292 0.700
0.641 0.627 0.516
0.581 0.811 0.735
0.717 0.541 0.406
0.735 0.809 0.372
0.852 0.085 0.493
0.571 0.110 0.695
0.929 0.110 0.195
0.424 0.558 0.011
0.576 0.442 0.989
0.873 0.580 0.104
0.120 0.270 0.763
0.253 0.665 0.823
0.286 0.347 0.851
0.454 0.222 0.033
0.535 0.471 0.236
0.954 0.778 0.467
0.965 0.471 0.736
0.247 0.665 0.323
0.249 0.559 0.579
0.035 0.529 0.264
0.251 0.559 0.079
0.217 0.126 0.628
0.465 0.529 0.764
0.647 0.199 0.898
0.506 0.836 0.134
0.533 0.544 0.391
0.751 0.441 0.421
0.353 0.801 0.102
0.006 0.164 0.366
0.283 0.126 0.128
0.967 0.544 0.891
0.147 0.801 0.602
0.645 0.003 0.471
0.046 0.222 0.533
0.127 0.420 0.896
0.217 0.935 0.874
0.897 0.219 0.170
0.506 0.842 0.513
0.006 0.158 0.987
0.380 0.270 0.263
0.717 0.065 0.626
0.355 0.997 0.529
0.786 0.653 0.649
0.880 0.730 0.237
0.214 0.347 0.351
0.033 0.456 0.109
0.546 0.778 0.967
0.603 0.219 0.670
0.994 0.842 0.013
0.627 0.580 0.604
0.853 0.199 0.398
0.467 0.456 0.609
0.283 0.935 0.374
0.747 0.335 0.177
0.494 0.158 0.487
0.783 0.065 0.126
0.103 0.781 0.830
0.494 0.164 0.866
0.783 0.874 0.372
0.855 0.003 0.971
0.620 0.730 0.737
0.753 0.335 0.677
0.924 0.442 0.489
0.397 0.781 0.330
0.076 0.558 0.511
0.749 0.441 0.921
0.994 0.836 0.634
0.714 0.653 0.149
0.145 0.997 0.029
0.373 0.420 0.396
0.717 0.874 0.872
```

no.,ΔH_f (0 K) (eV per atom)
1,-0.56
2,-0.60
3,-0.60